Entry 1:
# Lu2S3O12

Crystalline Lu2S3O12 at its relaxed geometry (PBE-GGA, the Materials Project).

a b c (Å): 9.3907 9.3907 9.3907
angles (deg): 57.85 57.85 57.85
Atoms (fractional coordinates):
Lu: 0.6440 0.6440 0.6440
Lu: 0.1440 0.1440 0.1440
Lu: 0.8560 0.8560 0.8560
Lu: 0.3560 0.3560 0.3560
S: 0.2500 0.5374 0.9626
S: 0.4626 0.0374 0.7500
S: 0.0374 0.7500 0.4626
S: 0.9626 0.2500 0.5374
S: 0.5374 0.9626 0.2500
S: 0.7500 0.4626 0.0374
O: 0.0093 0.7730 0.6211
O: 0.7730 0.6211 0.0093
O: 0.4096 0.5639 0.8009
O: 0.2730 0.5093 0.1211
O: 0.6211 0.0093 0.7730
O: 0.4907 0.8789 0.7270
O: 0.1991 0.5904 0.4361
O: 0.0904 0.6991 0.9361
O: 0.3009 0.0639 0.9096
O: 0.4361 0.1991 0.5904
O: 0.0639 0.9096 0.3009
O: 0.8789 0.7270 0.4907
O: 0.1211 0.2730 0.5093
O: 0.9361 0.0904 0.6991
O: 0.5639 0.8009 0.4096
O: 0.6991 0.9361 0.0904
O: 0.9096 0.3009 0.0639
O: 0.8009 0.4096 0.5639
O: 0.5093 0.1211 0.2730
O: 0.3789 0.9907 0.2270
O: 0.7270 0.4907 0.8789
O: 0.5904 0.4361 0.1991
O: 0.2270 0.3789 0.9907
O: 0.9907 0.2270 0.3789


Entry 2:
# NaZrGaSiS2O12

Crystalline NaZrGaSiS2O12 at its relaxed geometry (PBE-GGA, the Materials Project).

a b c (Å): 8.7576 8.8075 23.0396
angles (deg): 89.04 90.00 119.81
Atoms (fractional coordinates):
Na: 0.0163 0.0119 0.5050
Na: 0.9956 0.0119 0.0050
Na: 0.6791 0.3297 0.8373
Na: 0.6506 0.3297 0.3373
Na: 0.3417 0.6839 0.1708
Na: 0.3423 0.6839 0.6708
Zr: 0.0189 0.0127 0.3553
Zr: 0.9938 0.0127 0.8553
Zr: 0.6590 0.3117 0.6875
Zr: 0.6527 0.3117 0.1875
Zr: 0.3344 0.6660 0.0209
Zr: 0.3315 0.6660 0.5209
Ga: 0.9955 0.9935 0.6501
Ga: 0.9980 0.9935 0.1501
Ga: 0.7002 0.3239 0.9815
Ga: 0.6237 0.3239 0.4815
Ga: 0.3402 0.6724 0.3146
Ga: 0.3322 0.6724 0.8146
Si: 0.2798 0.9797 0.2479
Si: 0.6999 0.9797 0.7479
Si: 0.3578 0.0386 0.5842
Si: 0.6808 0.0386 0.0842
Si: 0.0468 0.3910 0.9142
Si: 0.3442 0.3910 0.4142
S: 0.7076 0.7123 0.2499
S: 0.0085 0.2965 0.2487
S: 0.2880 0.2965 0.7487
S: 0.0047 0.7123 0.7499
S: 0.9492 0.3260 0.5808
S: 0.6756 0.6265 0.5823
S: 0.9509 0.6265 0.0823
S: 0.3768 0.3260 0.0808
S: 0.6213 0.6539 0.9167
S: 0.3414 0.9643 0.9155
S: 0.6229 0.9643 0.4155
S: 0.0326 0.6539 0.4167
O: 0.1961 0.0173 0.3055
O: 0.8120 0.7939 0.3021
O: 0.9719 0.1847 0.3019
O: 0.2128 0.1847 0.8019
O: 0.9818 0.7939 0.8021
O: 0.8212 0.0173 0.8055
O: 0.7990 0.9627 0.6907
O: 0.1843 0.2127 0.6970
O: 0.0330 0.8193 0.6965
O: 0.7864 0.8193 0.1965
O: 0.0284 0.2127 0.1970
O: 0.1637 0.9627 0.1907
O: 0.8734 0.3568 0.6343
O: 0.4853 0.1285 0.6404
O: 0.6495 0.5207 0.6354
O: 0.8713 0.5207 0.1354
O: 0.6432 0.1285 0.1404
O: 0.4834 0.3568 0.1343
O: 0.4648 0.3114 0.0290
O: 0.8453 0.5464 0.0298
O: 0.7072 0.1576 0.0264
O: 0.4504 0.1576 0.5264
O: 0.7011 0.5464 0.5298
O: 0.8466 0.3114 0.5290
O: 0.5454 0.6920 0.9686
O: 0.1604 0.4737 0.9727
O: 0.3157 0.8555 0.9685
O: 0.5398 0.8555 0.4685
O: 0.3133 0.4737 0.4727
O: 0.1466 0.6920 0.4686
O: 0.1170 0.6369 0.3641
O: 0.5154 0.8873 0.3635
O: 0.3634 0.5073 0.3565
O: 0.1439 0.5073 0.8565
O: 0.3719 0.8873 0.8635
O: 0.5199 0.6369 0.8641
O: 0.0075 0.8104 0.4114
O: 0.7956 0.9721 0.4102
O: 0.1682 0.1926 0.4114
O: 0.0244 0.1926 0.9114
O: 0.1765 0.9721 0.9102
O: 0.8029 0.8104 0.9114
O: 0.9685 0.1702 0.5880
O: 0.1659 0.0229 0.5948
O: 0.8293 0.8031 0.5867
O: 0.9738 0.8031 0.0867
O: 0.8570 0.0229 0.0948
O: 0.2017 0.1702 0.0880
O: 0.6863 0.1603 0.7450
O: 0.4694 0.3204 0.7442
O: 0.8438 0.5378 0.7441
O: 0.6940 0.5378 0.2441
O: 0.8510 0.3204 0.2442
O: 0.4740 0.1603 0.2450
O: 0.6331 0.4953 0.9260
O: 0.8500 0.3695 0.9189
O: 0.4925 0.1418 0.9226
O: 0.6493 0.1418 0.4226
O: 0.5195 0.3695 0.4189
O: 0.8622 0.4953 0.4260
O: 0.3564 0.4851 0.0773
O: 0.1291 0.6425 0.0774
O: 0.5038 0.8463 0.0777
O: 0.3425 0.8463 0.5777
O: 0.5134 0.6425 0.5774
O: 0.1287 0.4851 0.5773
O: 0.3066 0.8108 0.2590
O: 0.5295 0.6914 0.2546
O: 0.1659 0.4682 0.2549
O: 0.3024 0.4682 0.7549
O: 0.1619 0.6914 0.7546
O: 0.5042 0.8108 0.7590

Values from the calculation:
The total magnetization is 0.0 μB per formula unit.


Entry 3:
# Ce2Ni21B6

Crystalline Ce2Ni21B6 at its relaxed geometry (PBE-GGA, the Materials Project).

a b c (Å): 7.5559 7.5559 7.5559
angles (deg): 60.00 60.00 60.00
Atoms (fractional coordinates):
Ce: 0.2500 0.2500 0.2500
Ce: 0.7500 0.7500 0.7500
Ni: 0.0000 0.0000 0.0000
Ni: 0.3869 0.3869 0.3869
Ni: 0.1607 0.6131 0.6131
Ni: 0.6131 0.1607 0.6131
Ni: 0.6131 0.6131 0.1607
Ni: 0.3869 0.8393 0.3869
Ni: 0.3869 0.3869 0.8393
Ni: 0.8393 0.3869 0.3869
Ni: 0.6131 0.6131 0.6131
Ni: 0.0000 0.3373 0.0000
Ni: 0.3373 0.0000 0.0000
Ni: 0.0000 0.3373 0.6627
Ni: 0.6627 0.0000 0.3373
Ni: 0.3373 0.0000 0.6627
Ni: 0.0000 0.0000 0.3373
Ni: 0.6627 0.3373 0.0000
Ni: 0.0000 0.6627 0.3373
Ni: 0.0000 0.0000 0.6627
Ni: 0.3373 0.6627 0.0000
Ni: 0.6627 0.0000 0.0000
Ni: 0.0000 0.6627 0.0000
B: 0.2684 0.7316 0.2684
B: 0.2684 0.7316 0.7316
B: 0.7316 0.2684 0.2684
B: 0.7316 0.7316 0.2684
B: 0.2684 0.2684 0.7316
B: 0.7316 0.2684 0.7316

Values from the calculation:
The total magnetization is 1.4 μB per formula unit.


Entry 4:
# Na6MgZr3Si4S2O24

Crystalline Na6MgZr3Si4S2O24 at its relaxed geometry (PBE-GGA, the Materials Project).

a b c (Å): 9.1724 9.1635 23.0239
angles (deg): 90.07 90.08 119.96
Atoms (fractional coordinates):
Na: 0.9919 0.3532 0.7530
Na: 0.3874 0.0191 0.7490
Na: 0.3190 0.3352 0.5850
Na: 0.0310 0.7054 0.5783
Na: 0.6556 0.9614 0.5873
Na: 0.3137 0.9767 0.0837
Na: 0.6599 0.6855 0.0859
Na: 0.0256 0.3366 0.0843
Na: 0.3318 0.2950 0.9213
Na: 0.9677 0.2937 0.4119
Na: 0.3229 0.0296 0.4142
Na: 0.7093 0.6782 0.4142
Na: 0.0012 0.9929 0.4916
Na: 0.0010 0.9977 0.9989
Na: 0.6645 0.3225 0.8323
Na: 0.6679 0.3337 0.3273
Na: 0.3345 0.6662 0.1656
Na: 0.3593 0.6728 0.6690
Mg: 0.0003 0.9987 0.3535
Mg: 0.6402 0.3239 0.6863
Mg: 0.6662 0.3331 0.1771
Zr: 0.0052 0.0162 0.8532
Zr: 0.9959 0.9985 0.6507
Zr: 0.0026 0.0010 0.1462
Zr: 0.6732 0.3225 0.9838
Zr: 0.6551 0.3369 0.4792
Zr: 0.3209 0.6670 0.0199
Zr: 0.3444 0.6754 0.5143
Zr: 0.3329 0.6675 0.3166
Zr: 0.3395 0.6711 0.8159
Si: 0.3002 0.2999 0.7495
Si: 0.7036 0.0038 0.7489
Si: 0.3730 0.0376 0.5856
Si: 0.6667 0.6240 0.5857
Si: 0.9508 0.6184 0.0860
Si: 0.6644 0.0402 0.0875
Si: 0.3814 0.3371 0.0843
Si: 0.0362 0.3776 0.9156
Si: 0.3330 0.9637 0.9160
Si: 0.6332 0.9639 0.4149
Si: 0.3267 0.3707 0.4161
Si: 0.0391 0.6670 0.4166
S: 0.2954 0.0034 0.2517
S: 0.7083 0.7051 0.2515
S: 0.9966 0.2920 0.2517
S: 0.9960 0.7033 0.7500
S: 0.9569 0.3343 0.5851
S: 0.6278 0.6674 0.9174
O: 0.2088 0.0183 0.3036
O: 0.8097 0.7917 0.3036
O: 0.9820 0.1907 0.3037
O: 0.2006 0.1752 0.8054
O: 0.9748 0.7875 0.8013
O: 0.8273 0.0209 0.8032
O: 0.7905 0.9717 0.6905
O: 0.1742 0.2061 0.6925
O: 0.0274 0.8125 0.6967
O: 0.7911 0.8116 0.1982
O: 0.0204 0.2088 0.1983
O: 0.1887 0.9794 0.1983
O: 0.8813 0.3595 0.6367
O: 0.4923 0.1148 0.6411
O: 0.6386 0.5024 0.6387
O: 0.8773 0.5000 0.1409
O: 0.6206 0.1191 0.1411
O: 0.4998 0.3757 0.1392
O: 0.4529 0.2960 0.0244
O: 0.8331 0.5421 0.0276
O: 0.7096 0.1603 0.0290
O: 0.4584 0.1553 0.5270
O: 0.7028 0.5467 0.5254
O: 0.8542 0.3066 0.5314
O: 0.5517 0.6934 0.9700
O: 0.1597 0.4597 0.9722
O: 0.3127 0.8502 0.9733
O: 0.5474 0.8468 0.4737
O: 0.2984 0.4552 0.4752
O: 0.1546 0.6961 0.4752
O: 0.1331 0.6309 0.3623
O: 0.4987 0.8702 0.3619
O: 0.3683 0.5031 0.3624
O: 0.1338 0.4884 0.8578
O: 0.3577 0.8711 0.8585
O: 0.5179 0.6425 0.8656
O: 0.0206 0.8321 0.4094
O: 0.8151 0.9797 0.4085
O: 0.1649 0.1861 0.4089
O: 0.0260 0.1916 0.9109
O: 0.1624 0.9792 0.9102
O: 0.7959 0.8160 0.9095
O: 0.9760 0.1794 0.5888
O: 0.1843 0.0205 0.5900
O: 0.8341 0.8166 0.5890
O: 0.9791 0.8127 0.0930
O: 0.8344 0.0196 0.0937
O: 0.1881 0.1675 0.0926
O: 0.7003 0.1782 0.7446
O: 0.4771 0.3059 0.7472
O: 0.8545 0.5347 0.7424
O: 0.6900 0.5375 0.2459
O: 0.8475 0.3101 0.2461
O: 0.4624 0.1525 0.2462
O: 0.6358 0.5111 0.9210
O: 0.8523 0.3601 0.9204
O: 0.4933 0.1555 0.9202
O: 0.6476 0.1481 0.4236
O: 0.5007 0.3592 0.4211
O: 0.8564 0.4934 0.4230
O: 0.3516 0.4992 0.0752
O: 0.1449 0.6503 0.0769
O: 0.5064 0.8489 0.0755
O: 0.3427 0.8445 0.5777
O: 0.4970 0.6439 0.5785
O: 0.1295 0.4839 0.5786
O: 0.3071 0.8446 0.2548
O: 0.5376 0.6929 0.2549
O: 0.1552 0.4625 0.2550
O: 0.2989 0.4782 0.7551
O: 0.1558 0.6947 0.7546
O: 0.5132 0.8389 0.7545

Values from the calculation:
The total magnetization is 0.0 μB per formula unit.


Here are the calculated ΔH_f (0 K) numbers, same order: -2.68; -2.49; -0.33; -2.85 (eV/atom).